No. 1
Material: Li2CoPO4F
Method: DFT, GGA+U
State: optimized geometry

Total moment (μB/cell): 0.00
ΔE to the lowest computed polymorph (eV per formula unit): 0.15
Energy of formation from the pure elements (eV per atom): -2.5229
Space group: No. 1
Electronic total energy (eV for the cell shown): -111.8

Lattice parameters (Å, degrees): 5.3383 5.3576 7.4879 108.52 108.33 94.11
Sites, in units of the cell vectors:
Li 0.5225 0.1508 0.8608
Li 0.4847 0.9581 0.4781
Li 0.1649 0.5466 0.1211
Li 0.7729 0.4542 0.7087
Co 0.9889 0.9966 0.5046
Co 0.0097 0.0008 0.0199
O 0.2728 0.7918 0.6245
O 0.1403 0.6591 0.8828
O 0.3773 0.2531 0.0946
O 0.6722 0.6772 0.3638
O 0.7224 0.2412 0.4225
O 0.6377 0.7381 0.9065
O 0.8652 0.3298 0.1471
O 0.3227 0.3238 0.6576
F 0.8254 0.1092 0.7483
F 0.1448 0.8977 0.2732
P 0.6636 0.3744 0.2605
P 0.3398 0.6293 0.7670

No. 2
Material: Li3Co2P2O8F2
Method: DFT, GGA+U
State: optimized geometry

Total moment (μB/cell): 28.00
Energy of formation from the pure elements (eV per atom): -2.4139
Space group: No. 29
Electronic total energy (eV for the cell shown): -422.1

Lattice parameters (Å, degrees): 5.1488 11.3210 13.0387 90.00 90.00 90.00
Sites, in units of the cell vectors:
O 0.8422 0.6095 0.8584
O 0.5209 0.9579 0.1296
O 0.0944 0.8525 0.7801
O 0.9261 0.8618 0.4745
O 0.0944 0.3525 0.7199
O 0.4791 0.9579 0.6296
O 0.9056 0.3525 0.2199
O 0.0739 0.3618 0.5255
O 0.5637 0.1483 0.0293
O 0.9056 0.8525 0.2801
O 0.5637 0.6483 0.4707
O 0.1578 0.6095 0.3584
O 0.0099 0.5449 0.1310
O 0.4363 0.1483 0.5293
O 0.6611 0.8772 0.8668
O 0.5983 0.6513 0.2781
O 0.5983 0.1513 0.2219
O 0.0099 0.0449 0.3690
O 0.4363 0.6483 0.9707
O 0.9901 0.0449 0.8690
O 0.6611 0.3772 0.6332
O 0.0739 0.8618 0.9745
O 0.4791 0.4579 0.8704
O 0.4017 0.1513 0.7219
O 0.3389 0.8772 0.3668
O 0.8422 0.1095 0.6416
O 0.5209 0.4579 0.3704
O 0.4017 0.6513 0.7781
O 0.9261 0.3618 0.0255
O 0.1578 0.1095 0.1416
O 0.3389 0.3772 0.1332
O 0.9901 0.5449 0.6310
Li 0.9546 0.1733 0.9884
Li 0.5261 0.3173 0.9913
Li 0.4739 0.8173 0.0087
Li 0.9847 0.3936 0.3825
Li 0.0153 0.8936 0.6175
Li 0.0454 0.6733 0.0116
Li 0.9546 0.6733 0.5116
Li 0.4739 0.3173 0.4913
Li 0.0153 0.3936 0.8825
Li 0.0454 0.1733 0.4884
Li 0.9847 0.8936 0.1175
Li 0.5261 0.8173 0.5087
Co 0.5322 0.3305 0.2628
Co 0.0372 0.6656 0.7319
Co 0.9628 0.1656 0.2681
Co 0.9628 0.6656 0.2319
Co 0.5322 0.8305 0.2372
Co 0.0372 0.1656 0.7681
Co 0.4678 0.3305 0.7628
Co 0.4678 0.8305 0.7372
P 0.4618 0.5928 0.3733
P 0.0454 0.9080 0.3753
P 0.0454 0.4080 0.1247
P 0.5382 0.5928 0.8733
P 0.5382 0.0928 0.6267
P 0.9546 0.4080 0.6247
P 0.9546 0.9080 0.8753
P 0.4618 0.0928 0.1267
F 0.2375 0.2596 0.3426
F 0.2404 0.2557 0.8875
F 0.7596 0.7557 0.1125
F 0.7625 0.2596 0.8426
F 0.7625 0.7596 0.6574
F 0.2375 0.7596 0.1574
F 0.7596 0.2557 0.3875
F 0.2404 0.7557 0.6125

No. 3
Material: Li2CoPO4F
Method: DFT, GGA+U
State: optimized geometry

Total moment (μB/cell): 24.00
ΔE to the lowest computed polymorph (eV per formula unit): 0.13
Energy of formation from the pure elements (eV per atom): -2.5262
Space group: No. 60
Electronic total energy (eV for the cell shown): -447.5

Lattice parameters (Å, degrees): 5.1305 11.3687 12.9706 90.00 90.00 90.00
Sites, in units of the cell vectors:
Li 0.7657 0.1007 0.6308
Li 0.7657 0.6007 0.3692
Li 0.7343 0.1007 0.1308
Li 0.2236 0.6784 0.7594
Li 0.7343 0.6007 0.8692
Li 0.7236 0.8216 0.2594
Li 0.7764 0.8216 0.7594
Li 0.7236 0.3216 0.7406
Li 0.2343 0.8993 0.3692
Li 0.2657 0.8993 0.8692
Li 0.2343 0.3993 0.6308
Li 0.7764 0.3216 0.2406
Li 0.2764 0.6784 0.2594
Li 0.2764 0.1784 0.7406
Li 0.2657 0.3993 0.1308
Li 0.2236 0.1784 0.2406
O 0.2795 0.0465 0.1247
O 0.8149 0.6429 0.7246
O 0.1698 0.3534 0.4706
O 0.0986 0.6001 0.1183
O 0.1851 0.3571 0.2754
O 0.6698 0.6466 0.0294
O 0.6851 0.1429 0.7754
O 0.3149 0.8571 0.2246
O 0.3149 0.3571 0.7754
O 0.1698 0.8534 0.5294
O 0.8149 0.1429 0.2754
O 0.7205 0.4535 0.1247
O 0.2795 0.5465 0.8753
O 0.5986 0.3999 0.3817
O 0.3302 0.8534 0.0294
O 0.8302 0.6466 0.5294
O 0.3302 0.3534 0.9706
O 0.7795 0.9535 0.3753
O 0.1851 0.8571 0.7246
O 0.7795 0.4535 0.6247
O 0.6698 0.1466 0.9706
O 0.8302 0.1466 0.4706
O 0.2205 0.0465 0.6247
O 0.7205 0.9535 0.8753
O 0.2205 0.5465 0.3753
O 0.6851 0.6429 0.2246
O 0.9014 0.3999 0.8817
O 0.0986 0.1001 0.8817
O 0.5986 0.8999 0.6183
O 0.4014 0.1001 0.3817
O 0.4014 0.6001 0.6183
O 0.9014 0.8999 0.1183
F 0.0000 0.7500 0.8997
F 0.0000 0.7500 0.3617
F 0.5000 0.7500 0.3997
F 0.0000 0.2500 0.6383
F 0.5000 0.2500 0.1383
F 0.5000 0.7500 0.8617
F 0.0000 0.2500 0.1003
F 0.5000 0.2500 0.6003
P 0.7942 0.5862 0.1267
P 0.2942 0.9138 0.6267
P 0.7058 0.0862 0.3733
P 0.7942 0.0862 0.8733
P 0.2058 0.4138 0.8733
P 0.7058 0.5862 0.6267
P 0.2058 0.9138 0.1267
P 0.2942 0.4138 0.3733
Co 0.7175 0.8306 0.9899
Co 0.2175 0.6694 0.4899
Co 0.2825 0.6694 0.9899
Co 0.7825 0.3306 0.5101
Co 0.2825 0.1694 0.0101
Co 0.2175 0.1694 0.5101
Co 0.7175 0.3306 0.0101
Co 0.7825 0.8306 0.4899

No. 4
Material: Li2CoPO4F
Method: DFT, GGA+U
State: optimized geometry

Total moment (μB/cell): 24.00
ΔE to the lowest computed polymorph (eV per formula unit): 0.00
Energy of formation from the pure elements (eV per atom): -2.5401
Space group: No. 62
Electronic total energy (eV for the cell shown): -448.5

Lattice parameters (Å, degrees): 6.4227 10.5854 10.9684 90.00 90.00 90.00
Sites, in units of the cell vectors:
O 0.0541 0.0330 0.3195
O 0.7500 0.1697 0.7442
O 0.5541 0.9670 0.6805
O 0.7500 0.6697 0.7558
O 0.7500 0.3893 0.0540
O 0.7500 0.8893 0.4460
O 0.4459 0.0330 0.3195
O 0.9459 0.4670 0.8195
O 0.4488 0.8100 0.9847
O 0.5512 0.6900 0.4847
O 0.2500 0.5273 0.3785
O 0.7500 0.9727 0.8785
O 0.4488 0.3100 0.5153
O 0.4459 0.5330 0.1805
O 0.0541 0.5330 0.1805
O 0.5541 0.4670 0.8195
O 0.9488 0.1900 0.0153
O 0.9459 0.9670 0.6805
O 0.7500 0.7177 0.2834
O 0.5512 0.1900 0.0153
O 0.2500 0.3303 0.2442
O 0.2500 0.7823 0.7834
O 0.0512 0.8100 0.9847
O 0.2500 0.6107 0.9460
O 0.2500 0.1107 0.5540
O 0.2500 0.8303 0.2558
O 0.7500 0.4727 0.6215
O 0.9488 0.6900 0.4847
O 0.2500 0.2823 0.7166
O 0.7500 0.2177 0.2166
O 0.2500 0.0273 0.1215
O 0.0512 0.3100 0.5153
Li 0.9896 0.7402 0.1653
Li 0.5104 0.2402 0.3347
Li 0.4896 0.2598 0.8347
Li 0.0104 0.7598 0.6653
Li 0.2500 0.2290 0.0823
Li 0.7500 0.7710 0.9177
Li 0.0104 0.2598 0.8347
Li 0.2500 0.4734 0.7738
Li 0.7500 0.2710 0.5823
Li 0.9896 0.2402 0.3347
Li 0.2500 0.9734 0.7262
Li 0.5104 0.7402 0.1653
Li 0.7500 0.0266 0.2738
Li 0.4896 0.7598 0.6653
Li 0.7500 0.5266 0.2262
Li 0.2500 0.7290 0.4177
P 0.7500 0.0234 0.7442
P 0.2500 0.7564 0.9219
P 0.2500 0.9766 0.2558
P 0.7500 0.5234 0.7558
P 0.7500 0.7436 0.4219
P 0.2500 0.4766 0.2442
P 0.2500 0.2564 0.5781
P 0.7500 0.2436 0.0781
F 0.2500 0.5521 0.6197
F 0.7500 0.6327 0.0314
F 0.7500 0.4479 0.3803
F 0.7500 0.9479 0.1197
F 0.2500 0.8673 0.5314
F 0.2500 0.3673 0.9686
F 0.2500 0.0521 0.8803
F 0.7500 0.1327 0.4686
Co 0.0000 0.5000 0.5000
Co 0.0000 0.0000 0.5000
Co 0.0000 0.5000 0.0000
Co 0.0000 0.0000 0.0000
Co 0.5000 0.5000 0.0000
Co 0.5000 0.5000 0.5000
Co 0.5000 0.0000 0.5000
Co 0.5000 0.0000 0.0000